[1]
Density functional theory data (GGA+U) for crystalline La3Mn3O10 at its relaxed geometry.

Computed properties:
Volume = 12.29 Å³/atom
Polymorph energy (0 for the lowest one) = 0.00 eV per formula unit
Calculated total energy = -7.8475 eV/atom
Space-group type = P1 (1)

```
La3Mn3O10
1.0
-5.457 0.021 -0.007
-2.652 -4.767 -0.025
-0.216 3.175 22.636
O La Mn
30 9 9
Direct
0.297 0.985 0.263
0.900 0.622 0.138
0.098 0.381 0.863
0.188 0.065 0.751
0.423 0.153 0.165
0.398 0.751 0.450
0.048 0.913 0.354
0.965 0.057 0.638
0.817 0.355 0.955
0.142 0.196 0.546
0.183 0.645 0.046
0.576 0.846 0.835
0.785 0.848 0.945
0.635 0.741 0.561
0.005 0.458 0.343
0.812 0.944 0.247
0.384 0.668 0.154
0.524 0.403 0.338
0.660 0.207 0.063
0.772 0.456 0.235
0.583 0.251 0.556
0.477 0.594 0.662
0.225 0.548 0.764
0.368 0.265 0.442
0.705 0.019 0.737
0.340 0.793 0.937
0.877 0.790 0.458
0.617 0.335 0.846
0.995 0.544 0.653
0.213 0.154 0.056
0.445 0.100 0.645
0.953 0.097 0.143
0.652 0.699 0.044
0.346 0.302 0.958
0.748 0.499 0.748
0.247 0.509 0.253
0.157 0.692 0.540
0.044 0.906 0.860
0.547 0.904 0.359
0.097 0.802 0.700
0.694 0.604 0.899
0.902 0.199 0.302
0.398 0.203 0.800
0.195 0.604 0.402
0.804 0.393 0.596
0.600 0.801 0.201
0.306 0.396 0.101
0.499 0.002 0.497
```



[2]
Density functional theory data (GGA+U) for crystalline La4Mn4O11 at its relaxed geometry.

Computed properties:
Volume = 13.75 Å³/atom
Calculated total energy = -8.0469 eV/atom
Space-group type = Pc (7)

```
La4Mn4O11
1.0
7.992 0.000 0.000
0.000 7.964 0.000
0.000 7.743 8.211
La O Mn
8 22 8
Direct
0.484 0.934 0.533
0.486 0.463 0.015
0.010 0.552 0.469
0.008 0.045 0.489
0.990 0.552 0.969
0.516 0.934 0.033
0.992 0.045 0.989
0.514 0.463 0.515
0.790 0.808 0.192
0.690 0.735 0.494
0.697 0.195 0.798
0.798 0.800 0.709
0.297 0.667 0.521
0.004 0.974 0.314
0.996 0.974 0.814
0.199 0.302 0.983
0.208 0.301 0.506
0.310 0.735 0.994
0.518 0.512 0.284
0.792 0.301 0.006
0.496 0.036 0.192
0.303 0.195 0.298
0.801 0.302 0.483
0.210 0.808 0.692
0.988 0.453 0.222
0.504 0.036 0.692
0.012 0.453 0.722
0.703 0.667 0.021
0.202 0.800 0.209
0.482 0.512 0.784
0.751 0.000 0.250
0.249 0.000 0.750
0.758 0.501 0.250
0.751 0.002 0.750
0.251 0.501 0.250
0.242 0.501 0.750
0.249 0.002 0.250
0.749 0.501 0.750
```



[3]
Density functional theory data (GGA+U) for crystalline LaMnO3 at its relaxed geometry.

Computed properties:
Volume = 12.50 Å³/atom
Calculated total energy = -8.0397 eV/atom
Space-group type = C2/c (15)

```
LaMnO3
1.0
4.782 0.022 2.796
1.626 4.624 2.777
-0.022 -0.041 5.633
O Mn La
6 2 2
Direct
0.759 0.333 0.728
0.250 0.819 0.681
0.741 0.772 0.167
0.259 0.228 0.833
0.750 0.181 0.319
0.241 0.667 0.272
0.500 0.500 0.500
0.000 0.000 0.000
0.750 0.757 0.743
0.250 0.243 0.257
```



[4]
Density functional theory data (GGA+U) for crystalline LaMnO3 at its relaxed geometry.

Computed properties:
Volume = 12.37 Å³/atom
Calculated total energy = -8.0106 eV/atom
Space-group type = Cmmm (65)

```
LaMnO3
1.0
1.096 -3.812 0.479
-3.967 -0.658 3.845
-3.587 -1.530 -3.971
O La Mn
6 2 2
Direct
0.500 0.500 0.500
0.000 0.196 0.696
0.000 0.696 0.804
0.500 0.000 0.000
0.000 0.804 0.304
0.000 0.304 0.196
0.500 0.000 0.500
0.500 0.500 0.000
0.000 0.500 0.500
0.000 0.000 0.000
```



[5]
Density functional theory data (GGA+U) for crystalline LaMnO3 at its relaxed geometry.

Computed properties:
Volume = 12.30 Å³/atom
Calculated total energy = -7.9531 eV/atom
Space-group type = Fm-3m (225)

```
LaMnO3
1.0
3.947 0.000 3.948
-3.947 3.947 0.000
-3.947 0.000 3.948
Mn O La
2 6 2
Direct
0.750 0.500 0.750
0.250 0.500 0.250
0.489 0.500 0.011
0.011 0.500 0.489
0.489 0.979 0.011
0.489 0.500 0.489
0.011 0.021 0.489
0.011 0.500 0.011
0.000 0.000 0.000
0.500 0.000 0.500
```



[6]
Density functional theory data (GGA+U) for crystalline La14Mn13O42 at its relaxed geometry.

Computed properties:
Volume = 12.43 Å³/atom
Calculated total energy = -7.9982 eV/atom
Space-group type = R-3 (148)

```
La14Mn13O42
1.0
6.207 -7.429 0.000
6.207 7.429 0.000
-2.684 0.000 9.301
O La Mn
42 14 13
Direct
0.312 0.065 0.374
0.945 0.595 0.212
0.781 0.232 0.744
0.055 0.405 0.788
0.492 0.087 0.164
0.326 0.550 0.362
0.077 0.197 0.971
0.626 0.688 0.935
0.256 0.219 0.768
0.971 0.077 0.197
0.029 0.923 0.803
0.347 0.516 0.880
0.768 0.256 0.219
0.880 0.347 0.516
0.065 0.374 0.312
0.405 0.788 0.055
0.484 0.120 0.653
0.232 0.744 0.781
0.219 0.768 0.256
0.508 0.913 0.836
0.923 0.803 0.029
0.516 0.880 0.347
0.450 0.638 0.674
0.788 0.055 0.405
0.744 0.781 0.232
0.212 0.945 0.595
0.120 0.653 0.484
0.674 0.450 0.638
0.688 0.935 0.626
0.595 0.212 0.945
0.164 0.492 0.087
0.803 0.029 0.923
0.836 0.508 0.913
0.374 0.312 0.065
0.197 0.971 0.077
0.653 0.484 0.120
0.087 0.164 0.492
0.362 0.326 0.550
0.913 0.836 0.508
0.935 0.626 0.688
0.638 0.674 0.450
0.550 0.362 0.326
0.037 0.893 0.321
0.807 0.533 0.395
0.605 0.193 0.467
0.193 0.467 0.605
0.107 0.679 0.963
0.731 0.731 0.731
0.467 0.605 0.193
0.533 0.395 0.807
0.963 0.107 0.679
0.395 0.807 0.533
0.679 0.963 0.107
0.321 0.037 0.893
0.269 0.269 0.269
0.893 0.321 0.037
0.643 0.071 0.787
0.357 0.929 0.213
0.715 0.861 0.428
0.428 0.715 0.861
0.285 0.139 0.572
0.071 0.787 0.643
0.000 0.000 0.000
0.861 0.428 0.715
0.787 0.643 0.071
0.572 0.285 0.139
0.929 0.213 0.357
0.213 0.357 0.929
0.139 0.572 0.285
```



[7]
Density functional theory data (GGA+U) for crystalline LaMnO3 at its relaxed geometry.

Computed properties:
Volume = 12.24 Å³/atom
Calculated total energy = -7.9623 eV/atom
Space-group type = P4/mmm (123)

```
LaMnO3
1.0
-1.293 -3.590 1.011
-0.815 1.763 5.218
-5.197 1.500 -1.320
O Mn La
6 2 2
Direct
0.000 0.000 0.500
0.000 0.500 0.000
0.500 0.241 0.259
0.500 0.241 0.741
0.500 0.759 0.741
0.500 0.759 0.259
0.500 0.500 0.000
0.500 0.000 0.500
0.000 0.500 0.500
0.000 0.000 0.000
```



[8]
Density functional theory data (GGA+U) for crystalline LaMnO3 at its relaxed geometry.

Computed properties:
Volume = 12.51 Å³/atom
Calculated total energy = -8.0313 eV/atom
Space-group type = P-1 (2)

```
LaMnO3
1.0
-2.810 -4.075 2.499
5.045 -5.227 -3.314
3.432 0.383 4.475
La O Mn
4 12 4
Direct
0.501 0.250 0.996
0.499 0.750 0.004
0.003 0.750 0.506
0.997 0.250 0.494
0.697 0.041 0.777
0.303 0.959 0.223
0.504 0.237 0.419
0.783 0.966 0.309
0.997 0.259 0.064
0.003 0.741 0.936
0.699 0.536 0.218
0.215 0.534 0.305
0.217 0.034 0.691
0.496 0.763 0.581
0.301 0.464 0.783
0.785 0.466 0.695
0.000 0.000 0.000
0.500 0.500 0.500
0.000 0.500 0.000
0.500 0.000 0.500
```



[9]
Density functional theory data (GGA+U) for crystalline LaMn7O12 at its relaxed geometry.

Computed properties:
Volume = 10.96 Å³/atom
Calculated total energy = -7.6798 eV/atom
Space-group type = C2/m (12)

```
LaMn7O12
1.0
3.785 5.354 0.000
-3.785 5.354 0.000
0.000 5.354 5.409
O Mn La
12 7 1
Direct
0.683 0.300 0.833
0.515 0.866 0.315
0.171 0.171 0.134
0.179 0.179 0.510
0.317 0.700 0.167
0.485 0.134 0.685
0.821 0.821 0.490
0.866 0.515 0.315
0.300 0.683 0.833
0.134 0.485 0.685
0.829 0.829 0.866
0.700 0.317 0.167
0.000 0.000 0.500
0.500 0.000 0.000
0.000 0.500 0.500
0.000 0.500 0.000
0.500 0.500 0.000
0.500 0.000 0.500
0.500 0.500 0.500
0.000 0.000 0.000
```



[10]
Density functional theory data (GGA+U) for crystalline LaMn7O12 at its relaxed geometry.

Computed properties:
Volume = 10.94 Å³/atom
Calculated total energy = -7.6798 eV/atom
Space-group type = Im-3 (204)

```
LaMn7O12
1.0
-3.796 3.796 3.796
3.796 -3.796 3.796
3.796 3.796 -3.796
Mn O La
7 12 1
Direct
0.000 0.500 0.500
0.500 0.000 0.000
0.500 0.000 0.500
0.000 0.500 0.000
0.500 0.500 0.500
0.500 0.500 0.000
0.000 0.000 0.500
0.133 0.308 0.825
0.825 0.133 0.308
0.483 0.308 0.175
0.692 0.175 0.867
0.517 0.692 0.825
0.175 0.867 0.692
0.175 0.483 0.308
0.825 0.517 0.692
0.308 0.825 0.133
0.867 0.692 0.175
0.308 0.175 0.483
0.692 0.825 0.517
0.000 0.000 0.000
```



[11]
Density functional theory data (GGA+U) for crystalline LaMnO3 at its relaxed geometry.

Computed properties:
Volume = 16.61 Å³/atom
Calculated total energy = -7.7578 eV/atom
Space-group type = P2_1/c (14)

```
LaMnO3
1.0
10.475 0.000 0.000
0.000 5.717 0.000
0.000 2.833 5.546
La Mn O
4 4 12
Direct
0.663 0.004 0.501
0.337 0.996 0.499
0.837 0.004 0.001
0.163 0.996 0.999
0.500 0.000 0.000
0.500 0.500 0.000
0.000 0.000 0.500
0.000 0.500 0.500
0.373 0.768 0.957
0.502 0.795 0.437
0.873 0.232 0.543
0.127 0.768 0.457
0.998 0.795 0.937
0.498 0.205 0.563
0.874 0.770 0.456
0.626 0.770 0.956
0.627 0.232 0.043
0.374 0.230 0.044
0.126 0.230 0.544
0.002 0.205 0.063
```



[12]
Density functional theory data (GGA+U) for crystalline LaMnO3 at its relaxed geometry.

Computed properties:
Volume = 14.86 Å³/atom
Calculated total energy = -7.7073 eV/atom
Space-group type = P2_1/c (14)

```
LaMnO3
1.0
5.751 1.606 0.000
1.206 5.298 0.000
0.000 0.000 10.413
O Mn La
12 4 4
Direct
0.248 0.748 0.378
0.772 0.821 0.493
0.228 0.179 0.507
0.199 0.288 0.142
0.728 0.179 0.993
0.801 0.712 0.858
0.252 0.252 0.878
0.301 0.712 0.642
0.752 0.252 0.622
0.748 0.748 0.122
0.699 0.288 0.358
0.272 0.821 0.007
0.500 0.000 0.000
0.500 0.500 0.500
0.000 0.500 0.000
0.000 0.000 0.500
0.024 0.982 0.828
0.976 0.018 0.172
0.476 0.018 0.328
0.524 0.982 0.672
```



[13]
Density functional theory data (GGA+U) for crystalline LaMnO3 at its relaxed geometry.

Computed properties:
Volume = 12.27 Å³/atom
Calculated total energy = -7.9602 eV/atom
Space-group type = I4/mmm (139)

```
LaMnO3
1.0
-3.942 3.942 0.000
-3.942 -3.942 0.000
-3.942 0.000 7.898
O La Mn
12 4 4
Direct
0.132 0.632 0.253
0.886 0.868 0.747
0.368 0.386 0.747
0.886 0.386 0.747
0.368 0.868 0.747
0.614 0.114 0.253
0.132 0.114 0.253
0.750 0.250 0.500
0.999 0.499 0.002
0.501 0.001 0.998
0.614 0.632 0.253
0.250 0.750 0.500
0.000 0.000 0.000
0.250 0.250 0.500
0.750 0.750 0.500
0.500 0.500 0.000
0.126 0.626 0.748
0.374 0.874 0.252
0.626 0.126 0.748
0.874 0.374 0.252
```



[14]
Density functional theory data (GGA+U) for crystalline LaMnO3 at its relaxed geometry.

Computed properties:
Volume = 12.27 Å³/atom
Calculated total energy = -7.9714 eV/atom
Space-group type = Pm-3m (221)

```
LaMnO3
1.0
-1.027 3.436 -1.643
-3.804 -1.009 0.268
-0.187 1.654 3.576
Mn O La
1 3 1
Direct
0.500 0.500 0.500
0.500 0.000 0.500
0.000 0.500 0.500
0.500 0.500 0.000
0.000 0.000 0.000
```